1.
Mn3P: relaxed, PBE.

```
16
Lattice="3.750 0.550 5.528 -4.455 3.423 -3.655 -4.353 -4.441 2.500" Properties=species:S:1:pos:R:3 pbc="T T T"
Mn -5.572 -1.008 3.016
P -0.880 0.783 3.209
Mn -3.523 -3.141 2.364
Mn -1.138 0.436 0.954
Mn 0.118 2.777 2.411
P -2.895 1.880 0.289
P -4.167 -1.313 1.134
Mn -0.466 -1.466 2.796
Mn -2.846 -0.538 2.782
Mn 1.219 0.288 2.420
Mn -4.573 0.893 1.528
Mn -5.915 -2.795 0.991
P -2.174 -2.285 4.113
Mn 0.627 0.356 4.904
Mn -5.703 -0.719 -0.482
Mn -2.574 2.110 2.551
```

Output
Crystal system: tetragonal


2.
MnP2: relaxed, PBE.

```
6
Lattice="-2.669 0.525 -0.197 -0.565 -4.025 -3.055 -1.000 -3.352 4.601" Properties=species:S:1:pos:R:3 pbc="T T T"
P -2.393 -3.985 2.917
Mn 0.000 0.000 0.000
Mn -2.117 -3.426 0.674
P -0.470 -1.943 1.192
P -1.841 -2.867 -1.569
P -1.095 -5.434 0.354
```

Output
Crystal system: orthorhombic


In order of appearance, energy of formation from the pure elements = -0.359 -0.433 eV/atom.